Entry 1:
This record from the Materials Project database describes a geometry-optimized Sc3Ga16Fe20 structure. The functional is PBE.

a = 11.998 Å, b = 5.013 Å, c = 18.950 Å
α = 90.00°, β = 107.55°, γ = 90.00°
Space group Cm (No. 8)
One atom of each set of equivalent atoms:
1 Sc 0.000 0.000 0.000 [2 per cell]
2 Sc 0.165 0.500 0.329 [2 per cell]
3 Sc 0.333 0.000 0.659 [2 per cell]
4 Ga 0.061 0.500 0.778 [2 per cell]
5 Ga 0.063 0.500 0.444 [2 per cell]
6 Ga 0.109 0.000 0.891 [2 per cell]
7 Ga 0.111 0.000 0.552 [2 per cell]
8 Ga 0.119 0.500 0.056 [2 per cell]
9 Ga 0.228 0.000 0.771 [2 per cell]
10 Ga 0.232 0.000 0.112 [2 per cell]
11 Ga 0.274 0.500 0.883 [2 per cell]
12 Ga 0.285 0.000 0.389 [2 per cell]
13 Ga 0.285 0.500 0.223 [2 per cell]
14 Ga 0.384 0.000 0.938 [2 per cell]
15 Ga 0.395 0.500 0.111 [2 per cell]
16 Ga 0.398 0.500 0.445 [2 per cell]
17 Ga 0.444 0.000 0.219 [2 per cell]
18 Ga 0.450 0.500 0.722 [2 per cell]
19 Ga 0.452 0.000 0.554 [2 per cell]
20 Fe 0.015 0.000 0.254 [2 per cell]
21 Fe 0.084 0.500 0.916 [2 per cell]
22 Fe 0.086 0.251 0.665 [4 per cell]
23 Fe 0.088 0.000 0.409 [2 per cell]
24 Fe 0.089 0.250 0.166 [4 per cell]
25 Fe 0.182 0.500 0.586 [2 per cell]
26 Fe 0.246 0.000 0.251 [2 per cell]
27 Fe 0.253 0.252 0.998 [4 per cell]
28 Fe 0.253 0.500 0.743 [2 per cell]
29 Fe 0.255 0.248 0.498 [4 per cell]
30 Fe 0.412 0.500 0.584 [2 per cell]
31 Fe 0.418 0.251 0.830 [4 per cell]
32 Fe 0.422 0.000 0.078 [2 per cell]
33 Fe 0.422 0.248 0.333 [4 per cell]

## Properties
For the energy relative to the elements, the calculation gives -10.62 eV/f.u. The spin magnetization comes out at 38.3 μB per formula unit.

Entry 2:
This record from the Materials Project database describes a geometry-optimized BaMn28 structure. The functional is PBE.

a = 8.838 Å, b = 8.838 Å, c = 8.838 Å
α = 90.00°, β = 90.00°, γ = 90.00°
Space group I-43m (No. 217)
One atom of each set of equivalent atoms:
1 Ba 0.000 0.000 0.000 [2 per cell]
2 Mn 0.035 0.357 0.643 [24 per cell]
3 Mn 0.092 0.092 0.705 [24 per cell]
4 Mn 0.191 0.191 0.191 [8 per cell]

## Properties
For the energy relative to the elements, the calculation gives 5.82 eV/f.u. The spin magnetization comes out at 5.9 μB per formula unit.

Entry 3:
This record from the Materials Project database describes a geometry-optimized SrLiGaN2 structure. The functional is PBE.

a = 6.127 Å, b = 10.266 Å, c = 12.745 Å
α = 90.00°, β = 91.37°, γ = 90.00°
Space group C2/m (No. 12)
One atom of each set of equivalent atoms:
1 Sr 0.000 0.166 0.000 [4 per cell]
2 Sr 0.000 0.179 0.500 [4 per cell]
3 Sr 0.052 0.000 0.257 [4 per cell]
4 Li 0.095 0.500 0.919 [4 per cell]
5 Li 0.130 0.317 0.682 [8 per cell]
6 Ga 0.108 0.500 0.411 [4 per cell]
7 Ga 0.151 0.338 0.188 [8 per cell]
8 N 0.175 0.322 0.851 [8 per cell]
9 N 0.204 0.341 0.343 [8 per cell]
10 N 0.219 0.500 0.567 [4 per cell]
11 N 0.249 0.500 0.109 [4 per cell]

## Properties
For the energy relative to the elements, the calculation gives -3.64 eV/f.u. The spin magnetization comes out at 0.0 μB per formula unit.

Entry 4:
This record from the Materials Project database describes a geometry-optimized PrZnGa structure. The functional is PBE.

a = 4.5099 Å, b = 4.5099 Å, c = 7.7682 Å
α = 90.00°, β = 90.00°, γ = 120.00°
Space group P6_3/mmc (No. 194)
One atom of each set of equivalent atoms:
1 Pr 0.0000 0.0000 0.0000 [2 per cell]
2 Zn 0.3333 0.6667 0.2500 [2 per cell]
3 Ga 0.3333 0.6667 0.7500 [2 per cell]

## Properties
For the energy relative to the elements, the calculation gives -1.62 eV/f.u.

Entry 5:
This record from the Materials Project database describes a geometry-optimized Nd3Ti structure. The functional is PBE.

a = 4.960 Å, b = 4.960 Å, c = 9.853 Å
α = 90.00°, β = 90.00°, γ = 90.00°
Space group I4/mmm (No. 139)
One atom of each set of equivalent atoms:
1 Nd 0.000 0.000 0.000 [2 per cell]
2 Nd 0.000 0.500 0.250 [4 per cell]
3 Ti 0.000 0.000 0.500 [2 per cell]

## Properties
Its excess energy over the best structure of this formula in the dataset is 5.0 meV per atom. For the energy relative to the elements, the calculation gives 1.03 eV/f.u. The spin magnetization comes out at 0.0 μB per formula unit.

Entry 6:
This record from the Materials Project database describes a geometry-optimized ThAsSe structure. The functional is PBE.

a = 4.142 Å, b = 4.142 Å, c = 8.541 Å
α = 90.00°, β = 90.00°, γ = 90.00°
Space group P4/nmm (No. 129, origin choice 2)
One atom of each set of equivalent atoms:
1 Th 0.250 0.250 0.235 [2 per cell]
2 As 0.250 0.750 0.500 [2 per cell]
3 Se 0.250 0.250 0.868 [2 per cell]

## Properties
For the energy relative to the elements, the calculation gives -4.77 eV/f.u.

Entry 7:
This record from the Materials Project database describes a geometry-optimized TiC7N12O12 structure. The functional is PBE.

a = 9.566 Å, b = 13.841 Å, c = 10.322 Å
α = 90.00°, β = 109.39°, γ = 90.00°
Space group P2_1 (No. 4)
One atom of each set of equivalent atoms:
1 Ti 0.159 0.000 0.126 [2 per cell]
2 C 0.014 0.553 0.114 [2 per cell]
3 C 0.131 0.779 0.742 [2 per cell]
4 C 0.163 0.017 0.376 [2 per cell]
5 C 0.310 0.380 0.924 [2 per cell]
6 C 0.392 0.109 0.141 [2 per cell]
7 C 0.420 0.313 0.461 [2 per cell]
8 C 0.499 0.595 0.229 [2 per cell]
9 N 0.100 0.718 0.633 [2 per cell]
10 N 0.101 0.751 0.857 [2 per cell]
11 N 0.191 0.867 0.736 [2 per cell]
12 N 0.203 0.328 0.951 [2 per cell]
13 N 0.273 0.454 0.833 [2 per cell]
14 N 0.281 0.295 0.376 [2 per cell]
15 N 0.357 0.107 0.758 [2 per cell]
16 N 0.392 0.614 0.107 [2 per cell]
17 N 0.439 0.367 0.575 [2 per cell]
18 N 0.454 0.358 0.988 [2 per cell]
19 N 0.461 0.564 0.338 [2 per cell]
20 N 0.462 0.777 0.569 [2 per cell]
21 O 0.047 0.559 0.003 [2 per cell]
22 O 0.050 0.036 0.269 [2 per cell]
23 O 0.107 0.570 0.233 [2 per cell]
24 O 0.119 0.028 0.900 [2 per cell]
25 O 0.137 0.882 0.112 [2 per cell]
26 O 0.140 0.467 0.483 [2 per cell]
27 O 0.156 0.016 0.498 [2 per cell]
28 O 0.158 0.765 0.358 [2 per cell]
29 O 0.281 0.157 0.150 [2 per cell]
30 O 0.285 0.998 0.356 [2 per cell]
31 O 0.377 0.016 0.127 [2 per cell]
32 O 0.493 0.655 0.855 [2 per cell]

## Properties
For the energy relative to the elements, the calculation gives 22.82 eV/f.u. The spin magnetization comes out at 1.0 μB per formula unit.

Entry 8:
This record from the Materials Project database describes a geometry-optimized Ti2Pd structure. The functional is PBE.

a = 3.122 Å, b = 3.122 Å, c = 9.973 Å
α = 90.00°, β = 90.00°, γ = 90.00°
Space group I4/mmm (No. 139)
One atom of each set of equivalent atoms:
1 Ti 0.000 0.000 0.165 [4 per cell]
2 Pd 0.000 0.000 0.500 [2 per cell]

## Properties
For the energy relative to the elements, the calculation gives -1.35 eV/f.u.

Entry 9:
This record from the Materials Project database describes a geometry-optimized Zn2GaCuSe4 structure. The functional is PBE.

a = 5.707 Å, b = 5.707 Å, c = 11.364 Å
α = 90.00°, β = 90.00°, γ = 90.00°
Space group I-42m (No. 121)
One atom of each set of equivalent atoms:
1 Zn 0.000 0.500 0.250 [4 per cell]
2 Ga 0.000 0.000 0.000 [2 per cell]
3 Cu 0.000 0.000 0.500 [2 per cell]
4 Se 0.249 0.249 0.377 [8 per cell]

## Properties
Its excess energy over the best structure of this formula in the dataset is 0.0 meV per atom. For the energy relative to the elements, the calculation gives -6.63 eV/f.u. The spin magnetization comes out at 0.0 μB per formula unit.

Entry 10:
This record from the Materials Project database describes a geometry-optimized UGePt structure. The functional is PBE.

a = 6.901 Å, b = 4.448 Å, c = 7.629 Å
α = 90.00°, β = 90.00°, γ = 90.00°
Space group Pnma (No. 62)
One atom of each set of equivalent atoms:
1 U 0.007 0.250 0.202 [4 per cell]
2 Ge 0.196 0.250 0.590 [4 per cell]
3 Pt 0.205 0.750 0.418 [4 per cell]

## Properties
For the energy relative to the elements, the calculation gives -1.88 eV/f.u.

Entry 11:
This record from the Materials Project database describes a geometry-optimized Ba3BiIrRuO9 structure. The functional is PBE.

a = 6.031 Å, b = 10.399 Å, c = 14.952 Å
α = 90.00°, β = 92.57°, γ = 90.00°
Space group Cc (No. 9)
One atom of each set of equivalent atoms:
1 Ba 0.000 0.007 0.000 [4 per cell]
2 Ba 0.006 0.334 0.343 [4 per cell]
3 Ba 0.490 0.165 0.155 [4 per cell]
4 Bi 0.498 0.499 0.249 [4 per cell]
5 Ir 0.480 0.166 0.584 [4 per cell]
6 Ru 0.019 0.334 0.915 [4 per cell]
7 O 0.000 0.489 0.999 [4 per cell]
8 O 0.044 0.173 0.846 [4 per cell]
9 O 0.184 0.408 0.181 [4 per cell]
10 O 0.219 0.095 0.647 [4 per cell]
11 O 0.230 0.260 0.014 [4 per cell]
12 O 0.271 0.241 0.486 [4 per cell]
13 O 0.278 0.404 0.855 [4 per cell]
14 O 0.316 0.091 0.323 [4 per cell]
15 O 0.455 0.327 0.658 [4 per cell]

## Properties
For the energy relative to the elements, the calculation gives -32.35 eV/f.u. The spin magnetization comes out at 2.0 μB per formula unit.

Entry 12:
This record from the Materials Project database describes a geometry-optimized Zn2CuC2NCl6 structure. The functional is PBE.

a = 7.509 Å, b = 10.521 Å, c = 15.456 Å
α = 90.00°, β = 90.00°, γ = 90.00°
Space group I2_12_12_1 (No. 24)
One atom of each set of equivalent atoms:
1 Zn 0.184 0.160 0.318 [8 per cell]
2 Cu 0.000 0.250 0.535 [4 per cell]
3 C 0.164 0.249 0.000 [8 per cell]
4 N 0.000 0.250 0.999 [4 per cell]
5 Cl 0.000 0.250 0.216 [4 per cell]
6 Cl 0.051 0.084 0.441 [8 per cell]
7 Cl 0.163 0.000 0.750 [4 per cell]
8 Cl 0.164 0.342 0.640 [8 per cell]

## Properties
For the energy relative to the elements, the calculation gives -8.79 eV/f.u. The spin magnetization comes out at 0.4 μB per formula unit.